DFT (PBE) results for a geometry-optimized As2SeS2 structure.

Computed properties:
volume: 26.63 Å³ per atom
density: 3.65 g/cm³

Cell lengths 4.308, 10.449, 12.191 Å; angles 90.00, 103.95, 90.00 degrees
Element x y z (fractional)
As 0.168 0.194 0.246
As 0.168 0.306 0.746
As 0.251 0.682 0.997
As 0.251 0.818 0.497
As 0.749 0.182 0.503
As 0.749 0.318 0.003
As 0.832 0.694 0.254
As 0.832 0.806 0.754
Se 0.203 0.098 0.653
Se 0.203 0.402 0.153
Se 0.797 0.598 0.847
Se 0.797 0.902 0.347
S 0.026 0.697 0.618
S 0.026 0.803 0.118
S 0.270 0.635 0.396
S 0.270 0.865 0.896
S 0.730 0.135 0.104
S 0.730 0.365 0.604
S 0.974 0.197 0.882
S 0.974 0.303 0.382

DFT (PBE) results for a geometry-optimized Ba4Pr7Si12BN27 structure.

Computed properties:
volume: 14.28 Å³ per atom
density: 5.16 g/cm³

Cell lengths 12.382, 12.382, 5.485 Å; angles 90.00, 90.00, 120.00 degrees
Element x y z (fractional)
Ba 0.000 0.000 0.000
Ba 0.178 0.765 0.000
Ba 0.235 0.413 0.000
Ba 0.587 0.822 0.000
Pr 0.343 0.039 0.500
Pr 0.446 0.357 0.500
Pr 0.643 0.089 0.500
Pr 0.667 0.333 0.000
Pr 0.695 0.657 0.500
Pr 0.911 0.554 0.500
Pr 0.961 0.305 0.500
Si 0.159 0.128 0.500
Si 0.173 0.575 0.500
Si 0.345 0.204 0.000
Si 0.402 0.827 0.500
Si 0.425 0.598 0.500
Si 0.480 0.022 0.000
Si 0.541 0.520 0.000
Si 0.796 0.141 0.000
Si 0.859 0.655 0.000
Si 0.872 0.031 0.500
Si 0.969 0.841 0.500
Si 0.978 0.459 0.000
B 0.667 0.333 0.500
N 0.031 0.146 0.500
N 0.069 0.513 0.258
N 0.069 0.513 0.742
N 0.115 0.969 0.500
N 0.243 0.735 0.500
N 0.259 0.197 0.254
N 0.259 0.197 0.746
N 0.265 0.508 0.500
N 0.384 0.087 0.000
N 0.445 0.931 0.258
N 0.445 0.931 0.742
N 0.481 0.356 0.000
N 0.487 0.555 0.258
N 0.487 0.555 0.742
N 0.492 0.757 0.500
N 0.541 0.223 0.500
N 0.644 0.125 0.000
N 0.682 0.459 0.500
N 0.703 0.616 0.000
N 0.777 0.318 0.500
N 0.803 0.063 0.254
N 0.803 0.063 0.746
N 0.854 0.885 0.500
N 0.875 0.519 0.000
N 0.913 0.297 0.000
N 0.937 0.741 0.254
N 0.937 0.741 0.746

DFT (PBE) results for a geometry-optimized FeSiMo structure.

Computed properties:
volume: 12.52 Å³ per atom
density: 7.95 g/cm³

Cell lengths 7.657, 4.696, 4.696 Å; angles 62.84, 90.00, 90.00 degrees
Element x y z (fractional)
Fe 0.000 0.000 0.000
Fe 0.000 0.519 0.998
Fe 0.000 0.998 0.519
Fe 0.500 0.323 0.323
Si 0.238 0.182 0.182
Si 0.500 0.338 0.817
Si 0.500 0.817 0.338
Si 0.762 0.182 0.182
Mo 0.182 0.509 0.509
Mo 0.311 0.842 0.842
Mo 0.689 0.842 0.842
Mo 0.818 0.509 0.509

DFT (PBE) results for a geometry-optimized NpPa3 structure.

Computed properties:
distance to the lowest polymorph of the same formula: 37 meV/atom
volume: 23.17 Å³ per atom
density: 16.66 g/cm³

Cell lengths 5.822, 5.822, 5.822 Å; angles 136.38, 136.38, 63.39 degrees
Element x y z (fractional)
Np 0.000 0.000 0.000
Pa 0.250 0.750 0.500
Pa 0.500 0.500 0.000
Pa 0.750 0.250 0.500

DFT (PBE) results for a geometry-optimized KSe structure.

Computed properties:
volume: 38.37 Å³ per atom
density: 2.55 g/cm³

Cell lengths 4.770, 4.770, 4.770 Å; angles 60.00, 60.00, 60.00 degrees
Element x y z (fractional)
K 0.000 0.000 0.000
Se 0.500 0.500 0.500

DFT (PBE) results for a geometry-optimized SrSe2O5 structure.

Computed properties:
volume: 16.95 Å³ per atom
density: 3.99 g/cm³

Cell lengths 7.048, 7.112, 11.146 Å; angles 84.89, 81.25, 79.81 degrees
Element x y z (fractional)
Sr 0.186 0.109 0.257
Sr 0.306 0.144 0.608
Sr 0.694 0.856 0.392
Sr 0.814 0.891 0.743
Se 0.084 0.665 0.124
Se 0.195 0.664 0.459
Se 0.372 0.228 0.932
Se 0.377 0.667 0.712
Se 0.623 0.333 0.288
Se 0.628 0.772 0.068
Se 0.805 0.336 0.541
Se 0.916 0.335 0.876
O 0.035 0.271 0.473
O 0.040 0.787 0.254
O 0.162 0.402 0.875
O 0.182 0.842 0.731
O 0.201 0.447 0.165
O 0.258 0.068 0.022
O 0.294 0.869 0.444
O 0.313 0.530 0.595
O 0.451 0.211 0.369
O 0.466 0.125 0.799
O 0.534 0.875 0.201
O 0.549 0.789 0.631
O 0.687 0.470 0.405
O 0.706 0.131 0.556
O 0.742 0.932 0.978
O 0.799 0.553 0.835
O 0.818 0.158 0.269
O 0.838 0.598 0.125
O 0.960 0.213 0.746
O 0.965 0.729 0.527

DFT (PBE) results for a geometry-optimized ZnPb2F6 structure.

Computed properties:
volume: 15.02 Å³ per atom
density: 7.29 g/cm³

Cell lengths 5.742, 5.742, 16.406 Å; angles 90.00, 90.00, 90.00 degrees
Element x y z (fractional)
Zn 0.000 0.000 0.000
Zn 0.000 0.500 0.500
Zn 0.500 0.000 0.500
Zn 0.500 0.500 0.000
Pb 0.012 0.012 0.343
Pb 0.012 0.488 0.843
Pb 0.488 0.012 0.843
Pb 0.488 0.488 0.343
Pb 0.512 0.512 0.657
Pb 0.512 0.988 0.157
Pb 0.988 0.512 0.157
Pb 0.988 0.988 0.657
F 0.063 0.063 0.881
F 0.063 0.437 0.381
F 0.250 0.250 0.040
F 0.250 0.250 0.242
F 0.250 0.250 0.540
F 0.250 0.250 0.742
F 0.250 0.750 0.000
F 0.250 0.750 0.250
F 0.250 0.750 0.500
F 0.250 0.750 0.750
F 0.437 0.063 0.381
F 0.437 0.437 0.881
F 0.563 0.563 0.119
F 0.563 0.937 0.619
F 0.750 0.250 0.000
F 0.750 0.250 0.250
F 0.750 0.250 0.500
F 0.750 0.250 0.750
F 0.750 0.750 0.258
F 0.750 0.750 0.460
F 0.750 0.750 0.758
F 0.750 0.750 0.960
F 0.937 0.563 0.619
F 0.937 0.937 0.119

DFT (PBE) results for a geometry-optimized TbScSi structure.

Computed properties:
volume: 22.81 Å³ per atom
density: 5.63 g/cm³

Cell lengths 6.155, 8.614, 8.614 Å; angles 115.97, 90.00, 90.00 degrees
Element x y z (fractional)
Tb 0.000 0.000 0.000
Tb 0.000 0.245 0.499
Tb 0.000 0.499 0.245
Tb 0.500 0.226 0.950
Tb 0.500 0.556 0.556
Tb 0.500 0.950 0.226
Sc 0.250 0.599 0.905
Sc 0.250 0.905 0.599
Sc 0.500 0.245 0.602
Sc 0.500 0.602 0.245
Sc 0.750 0.599 0.905
Sc 0.750 0.905 0.599
Si 0.000 0.237 0.831
Si 0.000 0.658 0.658
Si 0.000 0.831 0.237
Si 0.308 0.270 0.270
Si 0.500 0.868 0.868
Si 0.692 0.270 0.270

DFT (PBE) results for a geometry-optimized Ti2ZnS4 structure.

Computed properties:
volume: 18.72 Å³ per atom
density: 3.67 g/cm³

Cell lengths 7.183, 7.183, 7.183 Å; angles 60.00, 60.00, 60.00 degrees
Element x y z (fractional)
Ti 0.000 0.000 0.000
Ti 0.000 0.000 0.500
Ti 0.000 0.500 0.000
Ti 0.500 0.000 0.000
Zn 0.375 0.375 0.375
Zn 0.625 0.625 0.625
S 0.230 0.757 0.757
S 0.243 0.243 0.243
S 0.243 0.243 0.770
S 0.243 0.770 0.243
S 0.757 0.230 0.757
S 0.757 0.757 0.230
S 0.757 0.757 0.757
S 0.770 0.243 0.243

DFT (PBE) results for a geometry-optimized DySi2Ni2 structure.

Computed properties:
volume: 14.95 Å³ per atom
density: 7.46 g/cm³

Cell lengths 5.519, 5.519, 5.519 Å; angles 137.89, 137.89, 61.08 degrees
Element x y z (fractional)
Dy 0.000 0.000 0.000
Si 0.373 0.373 0.000
Si 0.627 0.627 0.000
Ni 0.250 0.750 0.500
Ni 0.750 0.250 0.500

DFT (PBE) results for a geometry-optimized CdP2 structure.

Computed properties:
volume: 24.01 Å³ per atom
density: 4.02 g/cm³
piezoelectric modulus e_max: 0.09 C/m²

Cell lengths 10.015, 5.482, 5.248 Å; angles 90.00, 90.00, 90.00 degrees
Element x y z (fractional)
Cd 0.152 0.101 0.000
Cd 0.348 0.601 0.500
Cd 0.652 0.399 0.000
Cd 0.848 0.899 0.500
P 0.007 0.725 0.850
P 0.119 0.440 0.654
P 0.381 0.940 0.154
P 0.493 0.225 0.350
P 0.507 0.775 0.850
P 0.619 0.060 0.654
P 0.881 0.560 0.154
P 0.993 0.275 0.350

DFT (PBE) results for a geometry-optimized CeAl2Pt structure.

Computed properties:
volume: 20.01 Å³ per atom
density: 8.07 g/cm³

Cell lengths 5.732, 5.732, 7.040 Å; angles 90.00, 90.00, 136.21 degrees
Element x y z (fractional)
Ce 0.066 0.934 0.750
Ce 0.934 0.066 0.250
Al 0.348 0.652 0.555
Al 0.348 0.652 0.945
Al 0.652 0.348 0.055
Al 0.652 0.348 0.445
Pt 0.214 0.786 0.250
Pt 0.786 0.214 0.750

The evaluated E_form for the records listed, in turn: -24.2 -136.0 -31.2 28.8 -67.2 -185.3 -254.1 -40.0 -142.3 -82.7 -11.7 -83.5 kJ/mol of atoms.
The evaluated uncorrected energy for the records listed, in turn: -4.27 -7.85 -8.57 -10.07 -2.76 -5.67 -4.57 -5.90 -5.99 -6.26 -4.04 -5.74 eV per atom.